[1]
SbN (PBE, optimized geometry); SG = Pca2_1; E_tot = -11.76 eV per formula unit; ΔE_f = 4.0 kcal/mol of atoms
1.0
5.577 0.000 0.000
0.000 6.068 0.000
0.000 0.000 5.158
Sb N
4 4
direct
0.544 0.806 0.174 Sb
0.456 0.194 0.674 Sb
0.956 0.806 0.674 Sb
0.044 0.194 0.174 Sb
0.609 0.892 0.560 N
0.391 0.108 0.060 N
0.891 0.892 0.060 N
0.109 0.108 0.560 N

***

[2]
Na2O (PBE, optimized geometry); SG = P3; E_tot = -10.98 eV per formula unit; ΔE_f = -31.3 kcal/mol of atoms; piezoelectric modulus e_max = 10.2 C/m²; total magnetic moment = 0.000 μB/cell
1.0
-3.097 -2.041 -4.960
0.915 -3.754 4.841
-3.182 1.167 1.507
Na O
6 3
direct
0.265 0.922 0.078 Na
0.675 0.073 0.574 Na
0.398 0.325 0.574 Na
0.078 0.343 0.078 Na
0.927 0.602 0.574 Na
0.657 0.735 0.078 Na
0.000 0.000 0.475 O
0.667 0.333 0.069 O
0.333 0.667 0.605 O

***

[3]
Sm6Fe13Sn (PBE, optimized geometry); SG = I4/mcm; E_tot = -144.64 eV per formula unit; ΔE_f = -2.5 kcal/mol of atoms; total magnetic moment = 51.866 μB/cell
1.0
8.045 0.000 0.000
0.000 8.045 0.000
-4.023 -4.023 11.579
Sm Fe Sn
12 26 2
direct
0.605 0.605 0.211 Sm
0.105 0.105 0.211 Sm
0.395 0.395 0.789 Sm
0.895 0.895 0.789 Sm
0.978 0.478 0.629 Sm
0.651 0.151 0.629 Sm
0.151 0.978 0.629 Sm
0.478 0.651 0.629 Sm
0.022 0.522 0.371 Sm
0.349 0.849 0.371 Sm
0.849 0.022 0.371 Sm
0.522 0.349 0.371 Sm
0.000 0.500 0.000 Fe
0.500 0.000 0.000 Fe
0.709 0.566 0.000 Fe
0.291 0.434 0.000 Fe
0.791 0.066 0.000 Fe
0.209 0.934 0.000 Fe
0.566 0.291 0.000 Fe
0.434 0.709 0.000 Fe
0.066 0.209 0.000 Fe
0.934 0.791 0.000 Fe
0.119 0.619 0.881 Fe
0.761 0.261 0.881 Fe
0.261 0.119 0.881 Fe
0.619 0.761 0.881 Fe
0.881 0.381 0.119 Fe
0.239 0.739 0.119 Fe
0.739 0.881 0.119 Fe
0.381 0.239 0.119 Fe
0.292 0.792 0.810 Fe
0.519 0.019 0.810 Fe
0.019 0.292 0.810 Fe
0.792 0.519 0.810 Fe
0.708 0.208 0.190 Fe
0.481 0.981 0.190 Fe
0.981 0.708 0.190 Fe
0.208 0.481 0.190 Fe
0.250 0.250 0.500 Sn
0.750 0.750 0.500 Sn

***

[4]
Cu3AsO7 (PBE, optimized geometry); SG = P2_1/c; E_tot = -57.45 eV per formula unit; ΔE_f = -22.4 kcal/mol of atoms; total magnetic moment = 3.993 μB/cell
1.0
0.175 0.181 -6.223
2.938 7.013 0.287
10.142 -6.271 0.103
Cu As O
12 4 28
direct
0.638 0.197 0.165 Cu
0.138 0.803 0.335 Cu
0.362 0.803 0.835 Cu
0.862 0.197 0.665 Cu
0.883 0.201 0.380 Cu
0.383 0.799 0.120 Cu
0.117 0.799 0.620 Cu
0.617 0.201 0.880 Cu
0.863 0.627 0.092 Cu
0.363 0.373 0.408 Cu
0.137 0.373 0.908 Cu
0.637 0.627 0.592 Cu
0.653 0.699 0.323 As
0.153 0.301 0.177 As
0.347 0.301 0.677 As
0.847 0.699 0.823 As
0.586 0.575 0.428 O
0.086 0.425 0.072 O
0.414 0.425 0.572 O
0.914 0.575 0.928 O
0.847 0.856 0.363 O
0.347 0.144 0.137 O
0.153 0.144 0.637 O
0.653 0.856 0.863 O
0.431 0.822 0.285 O
0.931 0.178 0.215 O
0.569 0.178 0.715 O
0.069 0.822 0.785 O
0.725 0.537 0.213 O
0.225 0.463 0.287 O
0.275 0.463 0.787 O
0.775 0.537 0.713 O
0.712 0.237 0.023 O
0.212 0.763 0.477 O
0.288 0.763 0.977 O
0.788 0.237 0.523 O
0.104 0.791 0.177 O
0.604 0.209 0.323 O
0.896 0.209 0.823 O
0.396 0.791 0.677 O
0.668 0.814 0.098 O
0.168 0.186 0.402 O
0.332 0.186 0.902 O
0.832 0.814 0.598 O

***

[5]
NaB6S4Br6O8 (PBE, optimized geometry); SG = P2_1/c; E_tot = -128.69 eV per formula unit; ΔE_f = -24.8 kcal/mol of atoms; total magnetic moment = 0.031 μB/cell
1.0
4.357 8.679 2.958
8.027 -6.079 -2.312
-0.444 7.207 -20.491
Na B S Br O
4 24 16 24 32
direct
0.851 0.875 0.844 Na
0.149 0.625 0.344 Na
0.149 0.125 0.156 Na
0.851 0.375 0.656 Na
0.467 0.646 0.025 B
0.533 0.854 0.525 B
0.533 0.354 0.975 B
0.467 0.146 0.475 B
0.349 0.531 0.977 B
0.651 0.969 0.477 B
0.651 0.469 0.023 B
0.349 0.031 0.523 B
0.379 0.489 0.055 B
0.621 0.011 0.555 B
0.621 0.511 0.945 B
0.379 0.989 0.445 B
0.555 0.552 0.072 B
0.445 0.948 0.572 B
0.445 0.448 0.928 B
0.555 0.052 0.428 B
0.634 0.633 0.004 B
0.366 0.867 0.504 B
0.366 0.367 0.996 B
0.634 0.133 0.496 B
0.507 0.620 0.946 B
0.493 0.880 0.446 B
0.493 0.380 0.054 B
0.507 0.120 0.554 B
0.102 0.088 0.731 S
0.898 0.412 0.231 S
0.898 0.912 0.269 S
0.102 0.588 0.769 S
0.227 0.931 0.897 S
0.773 0.569 0.397 S
0.773 0.069 0.103 S
0.227 0.431 0.603 S
0.935 0.230 0.903 S
0.065 0.270 0.403 S
0.065 0.770 0.097 S
0.935 0.730 0.597 S
0.621 0.640 0.728 S
0.379 0.860 0.228 S
0.379 0.360 0.272 S
0.621 0.140 0.772 S
0.430 0.815 0.052 Br
0.570 0.685 0.552 Br
0.570 0.185 0.948 Br
0.430 0.315 0.448 Br
0.176 0.567 0.952 Br
0.824 0.933 0.452 Br
0.824 0.433 0.048 Br
0.176 0.067 0.548 Br
0.239 0.473 0.119 Br
0.761 0.027 0.619 Br
0.761 0.527 0.881 Br
0.239 0.973 0.381 Br
0.617 0.611 0.155 Br
0.383 0.889 0.655 Br
0.383 0.389 0.845 Br
0.617 0.111 0.345 Br
0.789 0.789 0.006 Br
0.211 0.711 0.506 Br
0.211 0.211 0.994 Br
0.789 0.289 0.494 Br
0.518 0.761 0.884 Br
0.482 0.739 0.384 Br
0.482 0.239 0.116 Br
0.518 0.261 0.616 Br
0.073 0.203 0.700 O
0.927 0.297 0.200 O
0.927 0.797 0.300 O
0.073 0.703 0.800 O
0.992 0.003 0.765 O
0.008 0.497 0.265 O
0.008 0.997 0.235 O
0.992 0.503 0.735 O
0.080 0.898 0.902 O
0.920 0.602 0.402 O
0.920 0.102 0.098 O
0.080 0.398 0.598 O
0.285 0.990 0.839 O
0.715 0.510 0.339 O
0.715 0.010 0.161 O
0.285 0.490 0.661 O
0.885 0.086 0.906 O
0.115 0.414 0.406 O
0.115 0.914 0.094 O
0.885 0.586 0.594 O
0.997 0.285 0.846 O
0.003 0.215 0.346 O
0.003 0.715 0.154 O
0.997 0.785 0.654 O
0.726 0.750 0.751 O
0.274 0.750 0.251 O
0.274 0.250 0.249 O
0.726 0.250 0.749 O
0.664 0.528 0.701 O
0.336 0.972 0.201 O
0.336 0.472 0.299 O
0.664 0.028 0.799 O

***

[6]
LaGe2Rh2 (PBE, optimized geometry); SG = I4/mmm; E_tot = -33.44 eV per formula unit; ΔE_f = -20.9 kcal/mol of atoms
1.0
-2.111 2.111 5.343
2.111 -2.111 5.343
2.111 2.111 -5.343
La Ge Rh
1 2 2
direct
0.000 0.000 0.000 La
0.627 0.627 0.000 Ge
0.373 0.373 0.000 Ge
0.750 0.250 0.500 Rh
0.250 0.750 0.500 Rh